Record 1
# Pr5Pb4, relaxed, DFT r2SCAN
data_Pr5Pb4
_cell_length_a 8.524
_cell_length_b 8.617
_cell_length_c 16.236
_cell_angle_alpha 90.00
_cell_angle_beta 90.00
_cell_angle_gamma 90.00
_symmetry_space_group_name_H-M 'P 1'
_symmetry_Int_Tables_number 1
loop_
_symmetry_equiv_pos_as_xyz
'x,y,z'
loop_
_atom_site_label
_atom_site_type_symbol
_atom_site_fract_x
_atom_site_fract_y
_atom_site_fract_z
_atom_site_occupancy
Pr1 Pr 0.381 0.842 0.883 1
Pr2 Pr 0.881 0.658 0.617 1
Pr3 Pr 0.618 0.158 0.383 1
Pr4 Pr 0.118 0.342 0.117 1
Pr5 Pr 0.618 0.158 0.117 1
Pr6 Pr 0.118 0.342 0.383 1
Pr7 Pr 0.381 0.842 0.617 1
Pr8 Pr 0.881 0.658 0.883 1
Pr9 Pr 0.534 0.324 0.898 1
Pr10 Pr 0.034 0.176 0.602 1
Pr11 Pr 0.466 0.676 0.398 1
Pr12 Pr 0.966 0.824 0.102 1
Pr13 Pr 0.466 0.676 0.102 1
Pr14 Pr 0.966 0.824 0.398 1
Pr15 Pr 0.534 0.324 0.602 1
Pr16 Pr 0.034 0.176 0.898 1
Pr17 Pr 0.213 0.503 0.750 1
Pr18 Pr 0.713 0.997 0.750 1
Pr19 Pr 0.787 0.497 0.250 1
Pr20 Pr 0.287 0.003 0.250 1
Pb1 Pb 0.276 0.031 0.044 1
Pb2 Pb 0.776 0.469 0.456 1
Pb3 Pb 0.724 0.969 0.544 1
Pb4 Pb 0.224 0.531 0.956 1
Pb5 Pb 0.724 0.969 0.956 1
Pb6 Pb 0.224 0.531 0.544 1
Pb7 Pb 0.276 0.031 0.456 1
Pb8 Pb 0.776 0.469 0.044 1
Pb9 Pb 0.580 0.621 0.750 1
Pb10 Pb 0.080 0.879 0.750 1
Pb11 Pb 0.420 0.379 0.250 1
Pb12 Pb 0.920 0.121 0.250 1
Pb13 Pb 0.342 0.144 0.750 1
Pb14 Pb 0.842 0.356 0.750 1
Pb15 Pb 0.658 0.856 0.250 1
Pb16 Pb 0.158 0.644 0.250 1
# - calculated volume (Å³ per cell) = 1193
# - SG = No. 26
# - size of the total moment (μB/atom) = 0.06



Record 2
# Pr2Zn5Pb, relaxed, DFT r2SCAN
data_Pr2Zn5Pb
_cell_length_a 8.651
_cell_length_b 8.651
_cell_length_c 9.116
_cell_angle_alpha 90.00
_cell_angle_beta 90.00
_cell_angle_gamma 150.05
_symmetry_space_group_name_H-M 'P 1'
_symmetry_Int_Tables_number 1
loop_
_symmetry_equiv_pos_as_xyz
'x,y,z'
loop_
_atom_site_label
_atom_site_type_symbol
_atom_site_fract_x
_atom_site_fract_y
_atom_site_fract_z
_atom_site_occupancy
Pr1 Pr 0.205 0.795 0.250 1
Pr2 Pr 0.795 0.205 0.750 1
Pr3 Pr 0.000 0.000 0.500 1
Pr4 Pr 0.000 0.000 0.000 1
Zn1 Zn 0.815 0.185 0.390 1
Zn2 Zn 0.185 0.815 0.610 1
Zn3 Zn 0.815 0.185 0.110 1
Zn4 Zn 0.185 0.815 0.890 1
Zn5 Zn 0.659 0.341 0.487 1
Zn6 Zn 0.341 0.659 0.513 1
Zn7 Zn 0.659 0.341 0.013 1
Zn8 Zn 0.341 0.659 0.987 1
Zn9 Zn 0.391 0.609 0.250 1
Zn10 Zn 0.609 0.391 0.750 1
Pb1 Pb 0.554 0.446 0.250 1
Pb2 Pb 0.446 0.554 0.750 1
# - calculated volume (Å³ per cell) = 341
# - SG = No. 63
# - size of the total moment (μB/atom) = 0.00



Record 3
# Pt3Pb, relaxed, DFT r2SCAN
data_Pt3Pb
_cell_length_a 4.100
_cell_length_b 4.100
_cell_length_c 4.100
_cell_angle_alpha 90.00
_cell_angle_beta 90.00
_cell_angle_gamma 90.00
_symmetry_space_group_name_H-M 'P 1'
_symmetry_Int_Tables_number 1
loop_
_symmetry_equiv_pos_as_xyz
'x,y,z'
loop_
_atom_site_label
_atom_site_type_symbol
_atom_site_fract_x
_atom_site_fract_y
_atom_site_fract_z
_atom_site_occupancy
Pt1 Pt 0.500 0.000 0.500 1
Pt2 Pt 0.000 0.500 0.500 1
Pt3 Pt 0.500 0.500 0.000 1
Pb1 Pb 0.000 0.000 0.000 1
# - calculated volume (Å³ per cell) = 69
# - SG = No. 221
# - size of the total moment (μB/atom) = 0.00



Record 4
# PtPb4, relaxed, DFT r2SCAN
data_PtPb4
_cell_length_a 6.090
_cell_length_b 6.738
_cell_length_c 6.738
_cell_angle_alpha 90.00
_cell_angle_beta 90.00
_cell_angle_gamma 90.00
_symmetry_space_group_name_H-M 'P 1'
_symmetry_Int_Tables_number 1
loop_
_symmetry_equiv_pos_as_xyz
'x,y,z'
loop_
_atom_site_label
_atom_site_type_symbol
_atom_site_fract_x
_atom_site_fract_y
_atom_site_fract_z
_atom_site_occupancy
Pt1 Pt 0.000 0.750 0.750 1
Pt2 Pt 0.000 0.250 0.250 1
Pb1 Pb 0.252 0.924 0.076 1
Pb2 Pb 0.252 0.076 0.576 1
Pb3 Pb 0.748 0.424 0.576 1
Pb4 Pb 0.748 0.076 0.924 1
Pb5 Pb 0.748 0.924 0.424 1
Pb6 Pb 0.748 0.576 0.076 1
Pb7 Pb 0.252 0.576 0.424 1
Pb8 Pb 0.252 0.424 0.924 1
# - calculated volume (Å³ per cell) = 276
# - SG = No. 125
# - size of the total moment (μB/atom) = 0.00



Record 5
# SiPt5Pb, relaxed, DFT r2SCAN
data_SiPt5Pb
_cell_length_a 4.001
_cell_length_b 4.001
_cell_length_c 7.213
_cell_angle_alpha 90.00
_cell_angle_beta 90.00
_cell_angle_gamma 90.00
_symmetry_space_group_name_H-M 'P 1'
_symmetry_Int_Tables_number 1
loop_
_symmetry_equiv_pos_as_xyz
'x,y,z'
loop_
_atom_site_label
_atom_site_type_symbol
_atom_site_fract_x
_atom_site_fract_y
_atom_site_fract_z
_atom_site_occupancy
Si1 Si 0.000 0.000 0.500 1
Pt1 Pt 0.000 0.500 0.303 1
Pt2 Pt 0.000 0.500 0.697 1
Pt3 Pt 0.500 0.000 0.303 1
Pt4 Pt 0.500 0.000 0.697 1
Pt5 Pt 0.000 0.000 0.000 1
Pb1 Pb 0.500 0.500 0.000 1
# - calculated volume (Å³ per cell) = 115
# - SG = No. 123
# - size of the total moment (μB/atom) = 0.00



Record 6
# Pu3Pb, relaxed, DFT r2SCAN
data_Pu3Pb
_cell_length_a 4.794
_cell_length_b 4.794
_cell_length_c 4.794
_cell_angle_alpha 90.00
_cell_angle_beta 90.00
_cell_angle_gamma 90.00
_symmetry_space_group_name_H-M 'P 1'
_symmetry_Int_Tables_number 1
loop_
_symmetry_equiv_pos_as_xyz
'x,y,z'
loop_
_atom_site_label
_atom_site_type_symbol
_atom_site_fract_x
_atom_site_fract_y
_atom_site_fract_z
_atom_site_occupancy
Pu1 Pu 0.500 0.500 0.000 1
Pu2 Pu 0.500 0.000 0.500 1
Pu3 Pu 0.000 0.500 0.500 1
Pb1 Pb 0.000 0.000 0.000 1
# - calculated volume (Å³ per cell) = 110
# - SG = No. 221
# - size of the total moment (μB/atom) = 4.45



Energy of formation for the records above, in order: -0.775 -0.447 -0.121 -0.165 -0.423 -0.544 eV per atom